First-principles (GGA-PBE) data for a relaxed LaNiGe3 crystal, as listed in the Materials Project database.

Output
Energy of formation from the pure elements, eV/atom: -0.628
Crystal system: tetragonal
E, eV per atom: -5.545

Structure (POSCAR):
```
LaNiGe3
1.0
-2.2142 2.2142 4.8872
2.2142 -2.2142 4.8872
2.2142 2.2142 -4.8872
La Ni Ge
1 1 3
Direct
0.0000 0.0000 0.0000 La
0.6625 0.6625 0.0000 Ni
0.2584 0.7584 0.5000 Ge
0.4215 0.4215 0.0000 Ge
0.7584 0.2584 0.5000 Ge
```

=====

First-principles (GGA-PBE) data for a relaxed TlCdBr3 crystal, as listed in the Materials Project database.

Output
Energy of formation from the pure elements, eV/atom: -1.203
MP2020-corrected energy, eV for the cell shown: -56.84
Crystal system: orthorhombic
E, eV per atom: -2.522

Structure (POSCAR):
```
TlCdBr3
1.0
9.6402 0.0000 0.0000
0.0000 4.2198 0.0000
0.0000 0.0000 15.7814
Tl Cd Br
4 4 12
Direct
0.0615 0.2500 0.1773 Tl
0.4385 0.7500 0.6773 Tl
0.5615 0.2500 0.3227 Tl
0.9385 0.7500 0.8227 Tl
0.1677 0.7500 0.4447 Cd
0.3323 0.2500 0.9447 Cd
0.6677 0.7500 0.0553 Cd
0.8323 0.2500 0.5553 Cd
0.0209 0.7500 0.6024 Br
0.1661 0.7500 0.0062 Br
0.2125 0.2500 0.7886 Br
0.2875 0.7500 0.2886 Br
0.3339 0.2500 0.5062 Br
0.4791 0.2500 0.1024 Br
0.5209 0.7500 0.8976 Br
0.6661 0.7500 0.4938 Br
0.7125 0.2500 0.7114 Br
0.7875 0.7500 0.2114 Br
0.8339 0.2500 0.9938 Br
0.9791 0.2500 0.3976 Br
```

=====

First-principles (GGA-PBE) data for a relaxed CuC2S2O6F6 crystal, as listed in the Materials Project database.

Output
Energy of formation from the pure elements, eV/atom: -1.685
MP2020-corrected energy, eV for the cell shown: -100.66
Crystal system: triclinic
E, eV per atom: -5.515
Spin magnetization, Bohr magnetons per cell: 1.005

Structure (POSCAR):
```
CuC2S2O6F6
1.0
4.8724 0.0000 0.0000
2.3692 4.5206 0.0000
2.3230 -0.6925 10.6411
Cu C S O F
1 2 2 6 6
Direct
0.0000 0.0000 0.0000 Cu
0.4485 0.7807 0.3282 C
0.5515 0.2193 0.6718 C
0.4493 0.2650 0.8481 S
0.5507 0.7350 0.1519 S
0.1586 0.2295 0.8804 O
0.2756 0.9858 0.1149 O
0.4034 0.5581 0.8769 O
0.5966 0.4419 0.1231 O
0.7244 0.0142 0.8851 O
0.8414 0.7705 0.1196 O
0.1699 0.7769 0.3715 F
0.3210 0.4471 0.6274 F
0.4245 0.0384 0.3677 F
0.5755 0.9616 0.6323 F
0.6790 0.5529 0.3726 F
0.8301 0.2231 0.6285 F
```

=====

First-principles (GGA-PBE) data for a relaxed Dy3Si11Pt23 crystal, as listed in the Materials Project database.

Output
Energy of formation from the pure elements, eV/atom: -0.867
Crystal system: cubic
E, eV per atom: -6.627
Spin magnetization, Bohr magnetons per cell: 0.302

Structure (POSCAR):
```
Dy3Si11Pt23
1.0
0.0000 8.4996 8.4996
8.4996 0.0000 8.4996
8.4996 8.4996 0.0000
Dy Si Pt
6 22 46
Direct
0.0000 0.0000 0.5000 Dy
0.0000 0.5000 0.0000 Dy
0.0000 0.5000 0.5000 Dy
0.5000 0.0000 0.0000 Dy
0.5000 0.0000 0.5000 Dy
0.5000 0.5000 0.0000 Dy
0.1652 0.1652 0.1652 Si
0.1652 0.1652 0.5045 Si
0.1652 0.5045 0.1652 Si
0.1712 0.1712 0.8288 Si
0.1712 0.8288 0.1712 Si
0.1712 0.8288 0.8288 Si
0.1806 0.6065 0.6065 Si
0.3935 0.3935 0.3935 Si
0.3935 0.3935 0.8194 Si
0.3935 0.8194 0.3935 Si
0.4955 0.8348 0.8348 Si
0.5045 0.1652 0.1652 Si
0.6065 0.1806 0.6065 Si
0.6065 0.6065 0.1806 Si
0.6065 0.6065 0.6065 Si
0.8194 0.3935 0.3935 Si
0.8288 0.1712 0.1712 Si
0.8288 0.1712 0.8288 Si
0.8288 0.8288 0.1712 Si
0.8348 0.4955 0.8348 Si
0.8348 0.8348 0.4955 Si
0.8348 0.8348 0.8348 Si
0.0755 0.3082 0.3082 Pt
0.0827 0.0827 0.0827 Pt
0.0827 0.0827 0.7518 Pt
0.0827 0.4216 0.7478 Pt
0.0827 0.7478 0.4216 Pt
0.0827 0.7478 0.7478 Pt
0.0827 0.7518 0.0827 Pt
0.2482 0.9173 0.9173 Pt
0.2522 0.2522 0.5784 Pt
0.2522 0.2522 0.9173 Pt
0.2522 0.5784 0.2522 Pt
0.2522 0.5784 0.9173 Pt
0.2522 0.9173 0.2522 Pt
0.2522 0.9173 0.5784 Pt
0.3082 0.0755 0.3082 Pt
0.3082 0.3082 0.0755 Pt
0.3082 0.3082 0.3082 Pt
0.3745 0.3745 0.6255 Pt
0.3745 0.6255 0.3745 Pt
0.3745 0.6255 0.6255 Pt
0.4216 0.0827 0.7478 Pt
0.4216 0.7478 0.0827 Pt
0.4216 0.7478 0.7478 Pt
0.5784 0.2522 0.2522 Pt
0.5784 0.2522 0.9173 Pt
0.5784 0.9173 0.2522 Pt
0.6255 0.3745 0.3745 Pt
0.6255 0.3745 0.6255 Pt
0.6255 0.6255 0.3745 Pt
0.6918 0.6918 0.6918 Pt
0.6918 0.6918 0.9245 Pt
0.6918 0.9245 0.6918 Pt
0.7478 0.0827 0.4216 Pt
0.7478 0.0827 0.7478 Pt
0.7478 0.4216 0.0827 Pt
0.7478 0.4216 0.7478 Pt
0.7478 0.7478 0.0827 Pt
0.7478 0.7478 0.4216 Pt
0.7518 0.0827 0.0827 Pt
0.9173 0.2482 0.9173 Pt
0.9173 0.2522 0.2522 Pt
0.9173 0.2522 0.5784 Pt
0.9173 0.5784 0.2522 Pt
0.9173 0.9173 0.2482 Pt
0.9173 0.9173 0.9173 Pt
0.9245 0.6918 0.6918 Pt
```

=====

First-principles (GGA-PBE) data for a relaxed P4N3Cl11 crystal, as listed in the Materials Project database.

Output
Energy of formation from the pure elements, eV/atom: -0.960
MP2020-corrected energy, eV for the cell shown: -84.27
Crystal system: trigonal
E, eV per atom: -4.306
Energy above the lowest structure with this stoichiometry, kJ/mol of atoms: 0.43
Maximum piezoelectric response, C/m²: 0.310

Structure (POSCAR):
```
P4N3Cl11
1.0
5.4420 3.1419 5.0032
-5.4420 3.1419 5.0032
0.0000 -6.2839 5.0032
P N Cl
4 3 11
Direct
0.0000 0.0000 0.0000 P
0.1316 0.2101 0.7091 P
0.2101 0.7091 0.1316 P
0.7091 0.1316 0.2101 P
0.0957 0.8750 0.1329 N
0.1329 0.0957 0.8750 N
0.8750 0.1329 0.0957 N
0.0801 0.5039 0.1390 Cl
0.1390 0.0801 0.5039 Cl
0.3362 0.3374 0.6788 Cl
0.3374 0.6788 0.3362 Cl
0.3796 0.6848 0.9358 Cl
0.5039 0.1390 0.0801 Cl
0.6127 0.6127 0.6127 Cl
0.6788 0.3362 0.3374 Cl
0.6848 0.9358 0.3796 Cl
0.8640 0.8640 0.8640 Cl
0.9358 0.3796 0.6848 Cl
```

=====

First-principles (GGA-PBE) data for a relaxed Er2MgSe4 crystal, as listed in the Materials Project database.

Output
Energy of formation from the pure elements, eV/atom: -1.893
MP2020-corrected energy, eV for the cell shown: -151.87
Crystal system: orthorhombic
E, eV per atom: -5.154
Energy above the lowest structure with this stoichiometry, kJ/mol of atoms: 6.57
Spin magnetization, Bohr magnetons per cell: 0.004

Structure (POSCAR):
```
Er2MgSe4
1.0
13.0849 0.0000 0.0000
0.0000 3.9821 0.0000
0.0000 0.0000 13.9242
Er Mg Se
8 4 16
Direct
0.1131 0.2500 0.0772 Er
0.1445 0.2500 0.7027 Er
0.3555 0.7500 0.2027 Er
0.3869 0.7500 0.5772 Er
0.6131 0.2500 0.4228 Er
0.6445 0.2500 0.7973 Er
0.8555 0.7500 0.2973 Er
0.8869 0.7500 0.9228 Er
0.1172 0.7500 0.4389 Mg
0.3828 0.2500 0.9389 Mg
0.6172 0.7500 0.0611 Mg
0.8828 0.2500 0.5611 Mg
0.0168 0.7500 0.6123 Se
0.0327 0.2500 0.8815 Se
0.2181 0.2500 0.2548 Se
0.2439 0.2500 0.5162 Se
0.2561 0.7500 0.0162 Se
0.2819 0.7500 0.7548 Se
0.4673 0.7500 0.3815 Se
0.4832 0.2500 0.1123 Se
0.5168 0.7500 0.8877 Se
0.5327 0.2500 0.6185 Se
0.7181 0.2500 0.2452 Se
0.7439 0.2500 0.9838 Se
0.7561 0.7500 0.4838 Se
0.7819 0.7500 0.7452 Se
0.9673 0.7500 0.1185 Se
0.9832 0.2500 0.3877 Se
```

=====

First-principles (GGA-PBE) data for a relaxed HoAlB4 crystal, as listed in the Materials Project database.

Output
Energy of formation from the pure elements, eV/atom: -0.498
Crystal system: orthorhombic
E, eV per atom: -6.339

Structure (POSCAR):
```
HoAlB4
1.0
5.9454 0.0000 0.0000
0.0000 11.5267 0.0000
0.0000 0.0000 3.5460
Ho Al B
4 4 16
Direct
0.1277 0.1503 0.0000 Ho
0.3723 0.6503 0.0000 Ho
0.6277 0.3497 0.0000 Ho
0.8723 0.8497 0.0000 Ho
0.1370 0.4101 0.0000 Al
0.3630 0.9101 0.0000 Al
0.6370 0.0899 0.0000 Al
0.8630 0.5899 0.0000 Al
0.0283 0.6925 0.5000 B
0.1143 0.5467 0.5000 B
0.1338 0.9693 0.5000 B
0.2122 0.8124 0.5000 B
0.2878 0.3124 0.5000 B
0.3662 0.4693 0.5000 B
0.3857 0.0467 0.5000 B
0.4717 0.1925 0.5000 B
0.5283 0.8075 0.5000 B
0.6143 0.9533 0.5000 B
0.6338 0.5307 0.5000 B
0.7122 0.6876 0.5000 B
0.7878 0.1876 0.5000 B
0.8662 0.0307 0.5000 B
0.8857 0.4533 0.5000 B
0.9717 0.3075 0.5000 B
```

=====

First-principles (GGA-PBE) data for a relaxed Pr3SnC crystal, as listed in the Materials Project database.

Output
Energy of formation from the pure elements, eV/atom: 1.413
Crystal system: cubic
E, eV per atom: -4.103

Structure (POSCAR):
```
Pr3SnC
1.0
5.8664 0.0000 0.0000
0.0000 5.8664 0.0000
0.0000 0.0000 5.8664
Pr Sn C
3 1 1
Direct
0.0000 0.0000 0.5000 Pr
0.0000 0.5000 0.0000 Pr
0.5000 0.0000 0.0000 Pr
0.0000 0.0000 0.0000 Sn
0.5000 0.5000 0.5000 C
```

=====

First-principles (GGA-PBE) data for a relaxed Nd3TlN crystal, as listed in the Materials Project database.

Output
Energy of formation from the pure elements, eV/atom: 1.270
MP2020-corrected energy, eV for the cell shown: -18.65
Crystal system: cubic
E, eV per atom: -3.658
Spin magnetization, Bohr magnetons per cell: 0.750

Structure (POSCAR):
```
Nd3TlN
1.0
5.8336 0.0000 0.0000
0.0000 5.8336 0.0000
0.0000 0.0000 5.8336
Nd Tl N
3 1 1
Direct
0.0000 0.0000 0.5000 Nd
0.0000 0.5000 0.0000 Nd
0.5000 0.0000 0.0000 Nd
0.0000 0.0000 0.0000 Tl
0.5000 0.5000 0.5000 N
```

=====

First-principles (GGA-PBE) data for a relaxed Ba2Ca3Tl2Cu4O12 crystal, as listed in the Materials Project database.

Output
Energy of formation from the pure elements, eV/atom: -1.333
MP2020-corrected energy, eV for the cell shown: -121.02
Crystal system: triclinic
E, eV per atom: -5.178
Energy above the lowest structure with this stoichiometry, kJ/mol of atoms: 61.63
Spin magnetization, Bohr magnetons per cell: 1.230

Structure (POSCAR):
```
Ba2Ca3Tl2Cu4O12
1.0
3.8230 0.0000 0.0000
0.1719 4.4862 0.0000
0.5214 0.2278 21.7502
Ba Ca Tl Cu O
2 3 2 4 12
Direct
0.0000 0.0000 0.0000 Ba
0.3233 0.8162 0.3726 Ba
0.0311 0.7815 0.8592 Ca
0.1052 0.8698 0.6829 Ca
0.1272 0.8365 0.5414 Ca
0.4916 0.4477 0.1186 Tl
0.8534 0.2920 0.2689 Tl
0.1871 0.8677 0.1987 Cu
0.5620 0.3332 0.7806 Cu
0.6161 0.3633 0.6199 Cu
0.7990 0.3166 0.4445 Cu
0.0028 0.1454 0.1463 O
0.0586 0.3334 0.7968 O
0.1130 0.3674 0.6351 O
0.2539 0.3350 0.5145 O
0.3024 0.3254 0.4434 O
0.3530 0.6066 0.2561 O
0.4215 0.7301 0.7702 O
0.5173 0.9206 0.9194 O
0.6218 0.8579 0.6135 O
0.7054 0.9395 0.7669 O
0.8087 0.8306 0.4495 O
0.9810 0.5018 0.9480 O
```

=====

First-principles (GGA-PBE) data for a relaxed KH4PbI3O2 crystal, as listed in the Materials Project database.

Output
Energy of formation from the pure elements, eV/atom: -1.137
MP2020-corrected energy, eV for the cell shown: -181.46
Crystal system: orthorhombic
E, eV per atom: -3.999
Spin magnetization, Bohr magnetons per cell: 0.001

Structure (POSCAR):
```
KH4PbI3O2
1.0
10.3935 0.0000 0.0000
0.0000 22.9098 0.0000
0.0000 0.0000 4.6287
K H Pb I O
4 16 4 12 8
Direct
0.1388 0.2007 0.0000 K
0.3612 0.7007 0.5000 K
0.6388 0.2993 0.0000 K
0.8612 0.7993 0.5000 K
0.0189 0.0037 0.3226 H
0.0300 0.8622 0.0009 H
0.0823 0.0932 0.4999 H
0.1451 0.9925 0.5036 H
0.3549 0.4925 0.0036 H
0.4177 0.5933 0.9999 H
0.4700 0.3622 0.5009 H
0.4811 0.5037 0.8226 H
0.5189 0.4963 0.3226 H
0.5300 0.6378 0.0009 H
0.5823 0.4068 0.4999 H
0.6451 0.5075 0.5036 H
0.8549 0.0075 0.0036 H
0.9177 0.9068 0.9999 H
0.9700 0.1378 0.5009 H
0.9811 0.9963 0.8226 H
0.0421 0.4051 0.5003 Pb
0.4579 0.9051 0.0003 Pb
0.5421 0.0949 0.5003 Pb
0.9579 0.5949 0.0003 Pb
0.0833 0.7162 0.0002 I
0.1569 0.5485 0.4988 I
0.2483 0.3694 0.9992 I
0.2517 0.8694 0.4992 I
0.3431 0.0485 0.9988 I
0.4167 0.2162 0.5002 I
0.5833 0.7838 0.0002 I
0.6569 0.9515 0.4988 I
0.7483 0.1306 0.9992 I
0.7517 0.6306 0.4992 I
0.8431 0.4515 0.9988 I
0.9167 0.2838 0.5002 I
0.0640 0.0142 0.5068 O
0.0641 0.1358 0.4994 O
0.4360 0.5142 0.0068 O
0.4359 0.6358 0.9994 O
0.5641 0.3642 0.4994 O
0.5640 0.4858 0.5068 O
0.9359 0.8642 0.9994 O
0.9360 0.9858 0.0068 O
```

=====

First-principles (GGA-PBE) data for a relaxed Sr14Nb6O29 crystal, as listed in the Materials Project database.

Output
Energy of formation from the pure elements, eV/atom: -3.213
MP2020-corrected energy, eV for the cell shown: -385.21
Crystal system: triclinic
E, eV per atom: -7.455
Spin magnetization, Bohr magnetons per cell: 0.000

Structure (POSCAR):
```
Sr14Nb6O29
1.0
6.0488 0.0000 0.0000
2.9104 5.3290 0.0000
2.2023 0.3256 24.8028
Sr Nb O
14 6 29
Direct
0.0000 0.0000 0.0000 Sr
0.0043 0.0420 0.8576 Sr
0.1845 0.9943 0.5359 Sr
0.2821 0.9636 0.3935 Sr
0.2992 0.3813 0.7626 Sr
0.3285 0.3654 0.0386 Sr
0.5319 0.3011 0.6092 Sr
0.5558 0.3234 0.4702 Sr
0.5931 0.8694 0.2398 Sr
0.6502 0.7443 0.7933 Sr
0.6589 0.6703 0.9313 Sr
0.8753 0.6420 0.6343 Sr
0.9728 0.6237 0.3739 Sr
0.9831 0.1185 0.1593 Sr
0.1698 0.9415 0.6943 Nb
0.3297 0.3577 0.8984 Nb
0.3498 0.5040 0.1964 Nb
0.6262 0.6690 0.0872 Nb
0.6346 0.3090 0.3141 Nb
0.8830 0.6493 0.5026 Nb
0.0193 0.4746 0.8507 O
0.0229 0.7466 0.2141 O
0.0950 0.5983 0.9570 O
0.1314 0.3347 0.4571 O
0.1807 0.5696 0.5488 O
0.2025 0.0302 0.7672 O
0.2235 0.2356 0.6709 O
0.2563 0.0858 0.9292 O
0.2931 0.6584 0.1178 O
0.3011 0.2274 0.1816 O
0.3828 0.6241 0.2756 O
0.4042 0.6183 0.8597 O
0.4307 0.4888 0.3765 O
0.4505 0.7118 0.0236 O
0.4825 0.6391 0.6826 O
0.5679 0.1169 0.8379 O
0.6196 0.7142 0.4517 O
0.6243 0.9991 0.3324 O
0.6318 0.2482 0.9445 O
0.6344 0.9419 0.5501 O
0.6478 0.5851 0.1667 O
0.6658 0.2262 0.2347 O
0.6805 0.9503 0.0763 O
0.7885 0.4231 0.5488 O
0.9196 0.3570 0.0682 O
0.9483 0.2812 0.3278 O
0.9604 0.7868 0.7274 O
0.9737 0.0045 0.6319 O
0.9775 0.8854 0.4551 O
```